No. 1
Material: Cs4Sn23
Method: DFT, meta-GGA r2SCAN
State: relaxed

The structure in POSCAR format:
```
Cs4Sn23
1.0
-8.069 8.577 -4.449
-6.663 -9.137 -5.532
-6.998 -1.191 10.396
Cs Sn
8 46
Direct
0.000 0.250 0.500
0.000 0.750 0.500
0.500 0.000 0.750
0.500 0.000 0.250
0.750 0.500 0.000
0.250 0.500 0.000
0.500 0.500 0.500
0.000 0.000 0.000
0.500 0.382 0.193
0.500 0.618 0.807
0.382 0.193 0.500
0.618 0.193 0.500
0.193 0.500 0.382
0.807 0.500 0.382
0.000 0.693 0.118
0.000 0.307 0.882
0.250 0.000 0.500
0.750 0.000 0.500
0.000 0.500 0.250
0.000 0.500 0.750
0.500 0.750 0.000
0.500 0.250 0.000
0.184 0.184 0.184
0.684 0.316 0.684
0.684 0.684 0.316
0.316 0.684 0.684
0.816 0.816 0.184
0.184 0.816 0.816
0.816 0.184 0.816
0.316 0.316 0.316
0.816 0.816 0.816
0.316 0.684 0.316
0.316 0.316 0.684
0.684 0.316 0.316
0.184 0.184 0.816
0.816 0.184 0.184
0.184 0.816 0.184
0.684 0.684 0.684
0.000 0.307 0.118
0.500 0.382 0.807
0.500 0.618 0.193
0.618 0.807 0.500
0.382 0.807 0.500
0.193 0.500 0.618
0.807 0.500 0.618
0.118 0.000 0.307
0.307 0.118 0.000
0.693 0.882 0.000
0.118 0.000 0.693
0.693 0.118 0.000
0.882 0.000 0.307
0.882 0.000 0.693
0.307 0.882 0.000
0.000 0.693 0.882
```

Calculated values
* size of the total moment: 0.00 μB per formula unit
* energy of formation: -5.08 eV/f.u.
* VASP energy: -24.988 eV/atom

***

No. 2
Material: CeSe2O8
Method: DFT, meta-GGA r2SCAN
State: relaxed

The structure in POSCAR format:
```
CeSe2O8
1.0
9.242 0.000 0.000
0.000 9.843 0.000
0.000 0.000 13.846
Ce Se O
8 16 64
Direct
0.221 0.036 0.896
0.779 0.464 0.396
0.721 0.464 0.896
0.279 0.536 0.104
0.779 0.964 0.104
0.721 0.964 0.604
0.279 0.036 0.396
0.221 0.536 0.604
0.999 0.275 0.060
0.499 0.225 0.060
0.815 0.607 0.654
0.685 0.607 0.154
0.685 0.107 0.346
0.185 0.893 0.154
0.315 0.393 0.846
0.501 0.775 0.940
0.315 0.893 0.654
0.815 0.107 0.846
0.001 0.725 0.940
0.499 0.725 0.440
0.185 0.393 0.346
0.501 0.275 0.560
0.001 0.225 0.560
0.999 0.775 0.440
0.242 0.419 0.458
0.742 0.081 0.458
0.885 0.188 0.127
0.578 0.355 0.470
0.922 0.355 0.970
0.508 0.586 0.159
0.615 0.188 0.627
0.764 0.499 0.227
0.916 0.113 0.629
0.584 0.613 0.371
0.236 0.001 0.727
0.758 0.581 0.542
0.736 0.499 0.727
0.731 0.762 0.186
0.992 0.086 0.841
0.008 0.414 0.341
0.922 0.855 0.530
0.764 0.999 0.273
0.492 0.914 0.659
0.084 0.387 0.129
0.115 0.312 0.627
0.769 0.262 0.814
0.615 0.688 0.873
0.416 0.387 0.629
0.578 0.855 0.030
0.078 0.145 0.470
0.078 0.645 0.030
0.117 0.164 0.017
0.617 0.836 0.483
0.422 0.145 0.970
0.115 0.812 0.873
0.769 0.762 0.686
0.258 0.919 0.542
0.736 0.999 0.773
0.885 0.688 0.373
0.383 0.164 0.517
0.242 0.919 0.042
0.883 0.336 0.517
0.385 0.312 0.127
0.231 0.238 0.314
0.584 0.113 0.129
0.269 0.738 0.686
0.422 0.645 0.530
0.742 0.581 0.042
0.264 0.501 0.273
0.269 0.238 0.814
0.383 0.664 0.983
0.258 0.419 0.958
0.992 0.586 0.659
0.731 0.262 0.314
0.492 0.414 0.841
0.117 0.664 0.483
0.883 0.836 0.983
0.236 0.501 0.773
0.758 0.081 0.958
0.416 0.887 0.871
0.916 0.613 0.871
0.008 0.914 0.159
0.084 0.887 0.371
0.231 0.738 0.186
0.264 0.001 0.227
0.385 0.812 0.373
0.508 0.086 0.341
0.617 0.336 0.017
```

Calculated values
* size of the total moment: 0.00 μB per formula unit
* energy of formation: -16.29 eV/f.u.
* VASP energy: -11.230 eV/atom

***

No. 3
Material: EuSnRh2
Method: DFT, meta-GGA r2SCAN
State: relaxed

The structure in POSCAR format:
```
EuSnRh2
1.0
1.212 -4.553 -0.430
0.564 -2.673 3.863
-3.142 -3.390 1.010
Eu Sn Rh
1 1 2
Direct
0.500 0.500 0.500
0.000 0.000 0.000
0.250 0.250 0.250
0.750 0.750 0.750
```

Calculated values
* size of the total moment: 6.78 μB per formula unit
* energy of formation: -1.96 eV/f.u.
* VASP energy: -28.375 eV/atom

***

No. 4
Material: Pm3Y
Method: DFT, meta-GGA r2SCAN
State: relaxed

The structure in POSCAR format:
```
Pm3Y
1.0
1.379 7.093 -1.712
-6.305 -1.823 3.473
2.618 0.731 5.137
Pm Y
6 2
Direct
0.167 0.333 0.250
0.667 0.833 0.250
0.167 0.833 0.250
0.833 0.667 0.750
0.333 0.167 0.750
0.833 0.167 0.750
0.333 0.667 0.750
0.667 0.333 0.250
```

Calculated values
* size of the total moment: 0.00 μB per formula unit
* energy of formation: 0.12 eV/f.u.
* VASP energy: -27.205 eV/atom
* relative energy among the computed polymorphs: 0.0 meV per atom

***

No. 5
Material: Re7B3
Method: DFT, meta-GGA r2SCAN
State: relaxed

The structure in POSCAR format:
```
Re7B3
1.0
0.556 -0.630 7.474
-4.626 -4.534 -3.822
3.626 -3.242 -0.543
Re B
14 6
Direct
0.667 0.333 0.584
0.333 0.667 0.084
0.877 0.754 0.752
0.246 0.123 0.752
0.877 0.123 0.752
0.123 0.246 0.252
0.754 0.877 0.252
0.123 0.877 0.252
0.454 0.908 0.550
0.092 0.546 0.550
0.454 0.546 0.550
0.546 0.092 0.050
0.908 0.454 0.050
0.546 0.454 0.050
0.189 0.379 0.841
0.621 0.811 0.841
0.189 0.811 0.841
0.811 0.621 0.341
0.379 0.189 0.341
0.811 0.189 0.341
```

Calculated values
* size of the total moment: 0.00 μB per formula unit
* energy of formation: -2.33 eV/f.u.
* VASP energy: -39.124 eV/atom

***

No. 6
Material: LiMg5
Method: DFT, meta-GGA r2SCAN
State: relaxed

The structure in POSCAR format:
```
LiMg5
1.0
1.574 -8.154 0.000
1.574 8.154 0.000
0.000 0.000 5.121
Li Mg
1 5
Direct
0.778 0.222 0.500
0.000 0.000 0.000
0.332 0.668 0.000
0.668 0.332 0.000
0.113 0.887 0.500
0.443 0.557 0.500
```

Calculated values
* size of the total moment: 0.00 μB per formula unit
* energy of formation: -0.09 eV/f.u.
* VASP energy: -3.888 eV/atom
* relative energy among the computed polymorphs: 0.1 meV per atom